Entry 1:
Ca2PtAu: optimized geometry, GGA-PBE.

Values from the calculation:
Its space-group type is Amm2 (38). The formation energy is -83.2 kJ/mol of atoms. As for the total energy: -33.6 eV for the cell shown.

abc: 4.447 4.088 10.838
angles: 90.00 90.00 90.00
Element x y z (fractional)
Ca 0.000 0.000 0.000
Ca 0.000 0.500 0.500
Ca 0.500 0.000 0.281
Ca 0.500 0.500 0.781
Pt 0.000 0.000 0.721
Pt 0.000 0.500 0.221
Au 0.500 0.000 0.562
Au 0.500 0.500 0.062


Entry 2:
CaSbAu: optimized geometry, GGA-PBE.

Values from the calculation:
Its space-group type is P6_3/mmc (194). The formation energy is -77.3 kJ/mol of atoms. As for the total energy: -23.6 eV for the cell shown.

abc: 4.699 4.699 8.239
angles: 90.00 90.00 120.00
Element x y z (fractional)
Ca 0.000 0.000 0.000
Ca 0.000 0.000 0.500
Sb 0.333 0.667 0.250
Sb 0.667 0.333 0.750
Au 0.333 0.667 0.750
Au 0.667 0.333 0.250


Entry 3:
CaSiAu: optimized geometry, GGA-PBE.

Values from the calculation:
Its space-group type is P-6m2 (187). The formation energy is -62.3 kJ/mol of atoms. As for the total energy: -12.6 eV for the cell shown.

abc: 4.315 4.315 4.099
angles: 90.00 90.00 120.00
Element x y z (fractional)
Ca 0.000 0.000 0.000
Si 0.667 0.333 0.500
Au 0.333 0.667 0.500


Entry 4:
CaSnAu: optimized geometry, GGA-PBE.

Values from the calculation:
Its space-group type is Pnma (62). The formation energy is -71.2 kJ/mol of atoms. As for the total energy: -230.1 eV for the cell shown.

abc: 37.313 4.782 8.277
angles: 90.00 90.00 90.00
Element x y z (fractional)
Ca 0.001 0.250 0.216
Ca 0.100 0.250 0.290
Ca 0.100 0.750 0.708
Ca 0.199 0.250 0.210
Ca 0.201 0.750 0.787
Ca 0.299 0.250 0.287
Ca 0.301 0.750 0.710
Ca 0.400 0.250 0.208
Ca 0.400 0.750 0.790
Ca 0.499 0.750 0.716
Ca 0.501 0.250 0.284
Ca 0.600 0.250 0.210
Ca 0.600 0.750 0.792
Ca 0.699 0.250 0.290
Ca 0.701 0.750 0.713
Ca 0.799 0.250 0.213
Ca 0.801 0.750 0.790
Ca 0.900 0.250 0.292
Ca 0.900 0.750 0.710
Ca 0.999 0.750 0.784
Sn 0.041 0.250 0.586
Sn 0.059 0.750 0.085
Sn 0.140 0.750 0.084
Sn 0.159 0.250 0.584
Sn 0.240 0.750 0.412
Sn 0.260 0.250 0.912
Sn 0.341 0.750 0.084
Sn 0.360 0.250 0.584
Sn 0.441 0.250 0.585
Sn 0.459 0.750 0.086
Sn 0.541 0.250 0.914
Sn 0.559 0.750 0.415
Sn 0.640 0.750 0.416
Sn 0.659 0.250 0.916
Sn 0.740 0.750 0.088
Sn 0.760 0.250 0.588
Sn 0.841 0.750 0.416
Sn 0.860 0.250 0.916
Sn 0.941 0.250 0.915
Sn 0.959 0.750 0.414
Au 0.040 0.750 0.414
Au 0.056 0.250 0.914
Au 0.144 0.250 0.913
Au 0.160 0.750 0.413
Au 0.241 0.250 0.584
Au 0.259 0.750 0.084
Au 0.340 0.250 0.913
Au 0.356 0.750 0.413
Au 0.444 0.750 0.414
Au 0.460 0.250 0.914
Au 0.540 0.750 0.086
Au 0.556 0.250 0.586
Au 0.644 0.250 0.587
Au 0.660 0.750 0.087
Au 0.741 0.250 0.916
Au 0.759 0.750 0.416
Au 0.840 0.250 0.587
Au 0.856 0.750 0.087
Au 0.944 0.750 0.086
Au 0.960 0.250 0.586


Entry 5:
CaSnAu: optimized geometry, GGA-PBE.

Values from the calculation:
Its space-group type is Imm2 (44). The formation energy is -70.0 kJ/mol of atoms. As for the total energy: -45.9 eV for the cell shown.

abc: 4.814 7.386 8.321
angles: 90.00 90.00 90.00
Element x y z (fractional)
Ca 0.000 0.000 0.000
Ca 0.000 0.500 0.068
Ca 0.500 0.000 0.568
Ca 0.500 0.500 0.500
Sn 0.000 0.205 0.368
Sn 0.000 0.795 0.368
Sn 0.500 0.295 0.868
Sn 0.500 0.705 0.868
Au 0.000 0.278 0.699
Au 0.000 0.722 0.699
Au 0.500 0.222 0.199
Au 0.500 0.778 0.199


Entry 6:
Cd3Au8: optimized geometry, GGA-PBE.

Values from the calculation:
Its space-group type is P3m1 (156). The formation energy is 2.7 kJ/mol of atoms. As for the total energy: -28.6 eV for the cell shown.

abc: 3.019 3.019 28.543
angles: 90.00 90.00 120.00
Element x y z (fractional)
Cd 0.000 0.000 0.000
Cd 0.000 0.000 0.167
Cd 0.000 0.000 0.334
Au 0.000 0.000 0.668
Au 0.000 0.000 0.834
Au 0.667 0.333 0.084
Au 0.667 0.333 0.250
Au 0.667 0.333 0.418
Au 0.667 0.333 0.585
Au 0.667 0.333 0.751
Au 0.667 0.333 0.917


Entry 7:
Cd3Au: optimized geometry, GGA-PBE.

Values from the calculation:
Its space-group type is Cmmm (65). The formation energy is 0.1 kJ/mol of atoms. As for the total energy: -12.1 eV for the cell shown.

abc: 3.070 5.654 9.961
angles: 90.00 90.00 90.00
Element x y z (fractional)
Cd 0.000 0.000 0.000
Cd 0.000 0.500 0.259
Cd 0.000 0.500 0.741
Cd 0.500 0.000 0.259
Cd 0.500 0.000 0.741
Cd 0.500 0.500 0.000
Au 0.000 0.000 0.500
Au 0.500 0.500 0.500


Entry 8:
Cd3Au: optimized geometry, GGA-PBE.

Values from the calculation:
Its space-group type is P6_3cm (185). The formation energy is -12.7 kJ/mol of atoms. As for the total energy: -39.4 eV for the cell shown.

abc: 8.316 8.316 8.762
angles: 90.00 90.00 120.00
Element x y z (fractional)
Cd 0.000 0.000 0.000
Cd 0.000 0.000 0.500
Cd 0.000 0.292 0.251
Cd 0.000 0.368 0.594
Cd 0.000 0.632 0.094
Cd 0.000 0.708 0.751
Cd 0.292 0.000 0.251
Cd 0.292 0.292 0.751
Cd 0.333 0.667 0.377
Cd 0.333 0.667 0.877
Cd 0.368 0.000 0.594
Cd 0.368 0.368 0.094
Cd 0.632 0.000 0.094
Cd 0.632 0.632 0.594
Cd 0.667 0.333 0.377
Cd 0.667 0.333 0.877
Cd 0.708 0.000 0.751
Cd 0.708 0.708 0.251
Au 0.000 0.329 0.923
Au 0.000 0.671 0.423
Au 0.329 0.000 0.923
Au 0.329 0.329 0.423
Au 0.671 0.000 0.423
Au 0.671 0.671 0.923


Entry 9:
Cd8Au5: optimized geometry, GGA-PBE.

Values from the calculation:
Its space-group type is I-43m (217). The formation energy is -14.3 kJ/mol of atoms. As for the total energy: -51.3 eV for the cell shown.

abc: 8.792 8.792 8.792
angles: 109.47 109.47 109.47
Element x y z (fractional)
Cd 0.000 0.000 0.219
Cd 0.000 0.219 0.000
Cd 0.000 0.350 0.723
Cd 0.000 0.723 0.350
Cd 0.219 0.000 0.000
Cd 0.277 0.277 0.627
Cd 0.277 0.627 0.277
Cd 0.350 0.000 0.723
Cd 0.350 0.723 0.000
Cd 0.373 0.650 0.650
Cd 0.627 0.277 0.277
Cd 0.650 0.373 0.650
Cd 0.650 0.650 0.373
Cd 0.723 0.000 0.350
Cd 0.723 0.350 0.000
Cd 0.781 0.781 0.781
Au 0.000 0.000 0.654
Au 0.000 0.358 0.358
Au 0.000 0.642 0.642
Au 0.000 0.654 0.000
Au 0.346 0.346 0.346
Au 0.358 0.000 0.358
Au 0.358 0.358 0.000
Au 0.642 0.000 0.642
Au 0.642 0.642 0.000
Au 0.654 0.000 0.000


Entry 10:
CdAu3: optimized geometry, GGA-PBE.

Values from the calculation:
Its space-group type is Pm-3m (221). The formation energy is -12.6 kJ/mol of atoms. As for the total energy: -11.3 eV for the cell shown.

abc: 4.216 4.216 4.216
angles: 90.00 90.00 90.00
Element x y z (fractional)
Cd 0.000 0.000 0.000
Au 0.000 0.500 0.500
Au 0.500 0.000 0.500
Au 0.500 0.500 0.000


Entry 11:
CdAu3: optimized geometry, GGA-PBE.

Values from the calculation:
Its space-group type is I4/mmm (139). The formation energy is -12.0 kJ/mol of atoms. As for the total energy: -22.5 eV for the cell shown.

abc: 4.161 4.161 8.645
angles: 90.00 90.00 90.00
Element x y z (fractional)
Cd 0.000 0.000 0.000
Cd 0.500 0.500 0.500
Au 0.000 0.000 0.500
Au 0.000 0.500 0.250
Au 0.000 0.500 0.750
Au 0.500 0.000 0.250
Au 0.500 0.000 0.750
Au 0.500 0.500 0.000


Entry 12:
CdAu3: optimized geometry, GGA-PBE.

Values from the calculation:
Its space-group type is P6_3/mmc (194). The formation energy is -12.1 kJ/mol of atoms. As for the total energy: -22.5 eV for the cell shown.

abc: 5.938 5.938 4.912
angles: 90.00 90.00 120.00
Element x y z (fractional)
Cd 0.333 0.667 0.250
Cd 0.667 0.333 0.750
Au 0.166 0.333 0.750
Au 0.166 0.834 0.750
Au 0.333 0.166 0.250
Au 0.667 0.834 0.750
Au 0.834 0.166 0.250
Au 0.834 0.667 0.250


Entry 13:
CeCdAu: optimized geometry, GGA-PBE.

Values from the calculation:
Its space-group type is P-62m (189). The formation energy is -52.6 kJ/mol of atoms. As for the total energy: -35.3 eV for the cell shown.

abc: 7.920 7.920 4.063
angles: 90.00 90.00 120.00
Element x y z (fractional)
Ce 0.000 0.407 0.000
Ce 0.407 0.000 0.000
Ce 0.593 0.593 0.000
Cd 0.000 0.743 0.500
Cd 0.257 0.257 0.500
Cd 0.743 0.000 0.500
Au 0.000 0.000 0.000
Au 0.333 0.667 0.500
Au 0.667 0.333 0.500


Entry 14:
EuCdAu5: optimized geometry, GGA-PBE.

Values from the calculation:
Its space-group type is I-4m2 (119). The formation energy is -41.9 kJ/mol of atoms. As for the total energy: -61.2 eV for the cell shown.

abc: 7.308 7.308 5.553
angles: 90.00 90.00 90.00
Element x y z (fractional)
Eu 0.000 0.000 0.000
Eu 0.500 0.500 0.500
Cd 0.000 0.500 0.750
Cd 0.500 0.000 0.250
Au 0.000 0.500 0.250
Au 0.194 0.194 0.500
Au 0.194 0.806 0.500
Au 0.306 0.306 0.000
Au 0.306 0.694 0.000
Au 0.500 0.000 0.750
Au 0.694 0.306 0.000
Au 0.694 0.694 0.000
Au 0.806 0.194 0.500
Au 0.806 0.806 0.500


Entry 15:
EuCdAu: optimized geometry, GGA-PBE.

Values from the calculation:
Its space-group type is Pnma (62). The formation energy is -60.8 kJ/mol of atoms. As for the total energy: -65.4 eV for the cell shown.

abc: 7.568 4.559 8.946
angles: 90.00 90.00 90.00
Element x y z (fractional)
Eu 0.039 0.250 0.183
Eu 0.461 0.750 0.683
Eu 0.539 0.250 0.317
Eu 0.961 0.750 0.817
Cd 0.145 0.250 0.560
Cd 0.355 0.750 0.060
Cd 0.645 0.250 0.940
Cd 0.855 0.750 0.440
Au 0.245 0.750 0.374
Au 0.255 0.250 0.874
Au 0.745 0.750 0.126
Au 0.755 0.250 0.626


Entry 16:
CdAu2F8: optimized geometry, GGA-PBE.

Values from the calculation:
Its space-group type is P4/mcc (124). The formation energy is -163.2 kJ/mol of atoms. As for the total energy: -75.4 eV for the cell shown.

abc: 5.892 5.892 10.535
angles: 90.00 90.00 90.00
Element x y z (fractional)
Cd 0.000 0.000 0.250
Cd 0.000 0.000 0.750
Au 0.000 0.500 0.000
Au 0.000 0.500 0.500
Au 0.500 0.000 0.000
Au 0.500 0.000 0.500
F 0.145 0.307 0.130
F 0.145 0.307 0.870
F 0.145 0.693 0.370
F 0.145 0.693 0.630
F 0.307 0.145 0.370
F 0.307 0.145 0.630
F 0.307 0.855 0.130
F 0.307 0.855 0.870
F 0.693 0.145 0.130
F 0.693 0.145 0.870
F 0.693 0.855 0.370
F 0.693 0.855 0.630
F 0.855 0.307 0.370
F 0.855 0.307 0.630
F 0.855 0.693 0.130
F 0.855 0.693 0.870


Entry 17:
GdCdAu2: optimized geometry, GGA-PBE.

Values from the calculation:
Its space-group type is Fm-3m (225). The formation energy is -63.6 kJ/mol of atoms. As for the total energy: -96.7 eV for the cell shown.

abc: 7.044 7.044 7.044
angles: 90.00 90.00 90.00
Element x y z (fractional)
Gd 0.000 0.000 0.000
Gd 0.000 0.500 0.500
Gd 0.500 0.000 0.500
Gd 0.500 0.500 0.000
Cd 0.000 0.000 0.500
Cd 0.000 0.500 0.000
Cd 0.500 0.000 0.000
Cd 0.500 0.500 0.500
Au 0.250 0.250 0.250
Au 0.250 0.250 0.750
Au 0.250 0.750 0.250
Au 0.250 0.750 0.750
Au 0.750 0.250 0.250
Au 0.750 0.250 0.750
Au 0.750 0.750 0.250
Au 0.750 0.750 0.750


Entry 18:
Cd3InAu12: optimized geometry, GGA-PBE.

Values from the calculation:
Its space-group type is P-6m2 (187). The formation energy is -12.3 kJ/mol of atoms. As for the total energy: -46.8 eV for the cell shown.

abc: 5.955 5.955 9.777
angles: 90.00 90.00 120.00
Element x y z (fractional)
Cd 0.000 0.000 0.000
Cd 0.667 0.333 0.250
Cd 0.667 0.333 0.750
In 0.333 0.667 0.500
Au 0.001 0.500 0.000
Au 0.167 0.333 0.249
Au 0.167 0.333 0.751
Au 0.167 0.833 0.249
Au 0.167 0.833 0.751
Au 0.333 0.167 0.500
Au 0.500 0.500 0.000
Au 0.500 0.999 0.000
Au 0.667 0.833 0.249
Au 0.667 0.833 0.751
Au 0.833 0.167 0.500
Au 0.833 0.667 0.500


Entry 19:
CdIn2SnAu2: optimized geometry, GGA-PBE.

Values from the calculation:
Its space-group type is R3m (160). The formation energy is -19.6 kJ/mol of atoms. As for the total energy: -18.2 eV for the cell shown.

abc: 8.132 8.132 8.132
angles: 33.97 33.97 33.97
Element x y z (fractional)
Cd 0.000 0.000 0.000
In 0.253 0.253 0.253
In 0.749 0.749 0.749
Sn 0.500 0.500 0.500
Au 0.126 0.126 0.126
Au 0.624 0.624 0.624


Entry 20:
LaCdAu: optimized geometry, GGA-PBE.

Values from the calculation:
Its space-group type is P-62m (189). The formation energy is -64.8 kJ/mol of atoms. As for the total energy: -33.4 eV for the cell shown.

abc: 7.970 7.970 4.219
angles: 90.00 90.00 120.00
Element x y z (fractional)
La 0.000 0.409 0.000
La 0.409 0.000 0.000
La 0.591 0.591 0.000
Cd 0.000 0.750 0.500
Cd 0.250 0.250 0.500
Cd 0.750 0.000 0.500
Au 0.000 0.000 0.000
Au 0.333 0.667 0.500
Au 0.667 0.333 0.500